No. 1
The following is a DFT calculation (GGA-PBE) of an optimized crystal structure of Na5Sc3TiSi3S3O24.

Summary:
Symmetry ... No. 1
V ... 1600.9 Å³ per cell
ΔE_f ... -109.3 eV/f.u.
E (MP2020) ... -7.44 eV per atom
Calculated total energy ... -273.7 eV/f.u.
Magnetization ... 0.00 μB per cell

a = 9.0263 Å, b = 9.0301 Å, c = 22.6781 Å
α = 90.02°, β = 90.84°, γ = 119.98°
Sites, in units of the cell vectors:
Na1 0.0000 0.0000 0.0000
Na2 0.0030 0.2767 0.5027
Na3 0.2701 0.5815 0.6638
Na4 0.2961 0.2685 0.5815
Na5 0.3070 0.2746 0.0781
Na6 0.3253 0.6571 0.3348
Na7 0.3291 0.9398 0.8360
Na8 0.3383 0.6209 0.9929
Na9 0.6210 0.6356 0.4906
Na10 0.6338 0.9523 0.4135
Na11 0.6350 0.9629 0.9110
Na12 0.9410 0.9174 0.3271
Na13 0.9533 0.6065 0.7465
Na14 0.9552 0.3007 0.8240
Na15 0.9546 0.6250 0.2391
Sc1 0.3180 0.3022 0.7299
Sc2 0.3209 0.3057 0.4324
Sc3 0.3228 0.2970 0.2216
Sc4 0.3309 0.2980 0.9310
Sc5 0.6546 0.9750 0.7662
Sc6 0.6576 0.9529 0.2611
Sc7 0.9801 0.6383 0.3979
Sc8 0.9935 0.6315 0.5969
Sc9 0.9957 0.6433 0.0978
Ti1 0.6654 0.9621 0.5601
Ti2 0.6665 0.9860 0.0578
Ti3 0.9954 0.6094 0.8941
Si1 0.2803 0.9213 0.9961
Si2 0.2848 0.6378 0.4962
Si3 0.3230 0.5936 0.8309
Si4 0.6145 0.5878 0.3291
Si5 0.6160 0.3056 0.8295
Si6 0.9460 0.9622 0.1621
Si7 0.9473 0.2581 0.6634
Si8 0.9862 0.3371 0.9984
Si9 0.9890 0.9278 0.4974
S1 0.0230 0.2967 0.3286
S2 0.0240 0.9971 0.8301
S3 0.3194 0.0053 0.3288
S4 0.3596 0.6705 0.1613
S5 0.3643 0.9655 0.6609
S6 0.6524 0.2508 0.1617
S7 0.6537 0.6745 0.6613
S8 0.6911 0.3303 0.4969
S9 0.6975 0.6331 0.9967
O1 0.0025 0.8248 0.5528
O2 0.0099 0.8279 0.8361
O3 0.0124 0.4544 0.3344
O4 0.0130 0.4605 0.0525
O5 0.0983 0.2670 0.3836
O6 0.0989 0.1041 0.8840
O7 0.1309 0.3159 0.2780
O8 0.1326 0.1372 0.1640
O9 0.1340 0.0808 0.7785
O10 0.1383 0.2777 0.6612
O11 0.1440 0.6104 0.8372
O12 0.1460 0.1217 0.4905
O13 0.1488 0.3080 0.9916
O14 0.1530 0.8348 0.0508
O15 0.1584 0.5931 0.5521
O16 0.1637 0.8297 0.3329
O17 0.1849 0.7932 0.9372
O18 0.1866 0.6502 0.1590
O19 0.1926 0.8067 0.6565
O20 0.1984 0.6602 0.4354
O21 0.2757 0.4716 0.7717
O22 0.2908 0.0844 0.2763
O23 0.2977 0.1077 0.9889
O24 0.3144 0.4709 0.4915
O25 0.3379 0.1053 0.3826
O26 0.3399 0.5037 0.8901
O27 0.3459 0.1179 0.6644
O28 0.3464 0.5000 0.1653
O29 0.4400 0.7707 0.2170
O30 0.4396 0.9402 0.7162
O31 0.4619 0.7585 0.1095
O32 0.4647 0.9230 0.0062
O33 0.4690 0.9767 0.6097
O34 0.4710 0.9829 0.3236
O35 0.4782 0.8056 0.5076
O36 0.4793 0.7890 0.8235
O37 0.4865 0.2551 0.8842
O38 0.4921 0.5061 0.6626
O39 0.4945 0.2630 0.1632
O40 0.5029 0.5069 0.3894
O41 0.5059 0.4680 0.2733
O42 0.5199 0.3114 0.4893
O43 0.5207 0.4852 0.9915
O44 0.5232 0.3269 0.7705
O45 0.6298 0.7814 0.3258
O46 0.6319 0.1434 0.1078
O47 0.6327 0.7590 0.6063
O48 0.6511 0.1419 0.8246
O49 0.6673 0.1648 0.2151
O50 0.6700 0.7776 0.7135
O51 0.6757 0.1591 0.5031
O52 0.6799 0.7918 0.0012
O53 0.7696 0.4391 0.5494
O54 0.7741 0.6098 0.0504
O55 0.8000 0.4087 0.4446
O56 0.8033 0.6582 0.9443
O57 0.8041 0.6535 0.6563
O58 0.8053 0.4195 0.1574
O59 0.8085 0.4763 0.8393
O60 0.8105 0.1430 0.0039
O61 0.8107 0.6195 0.3319
O62 0.8128 0.9484 0.5067
O63 0.8309 0.9795 0.1049
O64 0.8324 0.1325 0.6053
O65 0.8392 0.9454 0.2225
O66 0.8401 0.1645 0.7217
O67 0.8493 0.1438 0.3230
O68 0.8526 0.9795 0.8225
O69 0.9371 0.8087 0.4374
O70 0.9558 0.7883 0.1579
O71 0.9585 0.4234 0.9366
O72 0.9694 0.4500 0.6584

No. 2
The following is a DFT calculation (GGA-PBE) of an optimized crystal structure of Te3W2S.

Summary:
Symmetry ... No. 156
V ... 407.6 Å³ per cell
ΔE_f ... -1.7 eV/f.u.
E (MP2020) ... -6.87 eV per atom
Calculated total energy ... -40.7 eV/f.u.
Magnetization ... 0.00 μB per cell

a = 3.4546 Å, b = 3.4546 Å, c = 39.4426 Å
α = 90.00°, β = 90.00°, γ = 120.00°
Sites, in units of the cell vectors:
Te1 0.0000 0.0000 0.0000
Te2 0.0000 0.0000 0.0943
Te3 0.0000 0.0000 0.3758
Te4 0.0000 0.0000 0.4701
Te5 0.3333 0.6667 0.1879
Te6 0.3333 0.6667 0.2822
W1 0.0000 0.0000 0.2351
W2 0.0000 0.0000 0.8593
W3 0.3333 0.6667 0.0472
W4 0.3333 0.6667 0.4230
S1 0.3333 0.6667 0.8215
S2 0.3333 0.6667 0.8972

No. 3
The following is a DFT calculation (GGA-PBE) of an optimized crystal structure of DyInAu2.

Summary:
Symmetry ... No. 225
V ... 344.1 Å³ per cell
ΔE_f ... -2.8 eV/f.u.
Calculated total energy ... -16.7 eV/f.u.

a = 7.0077 Å, b = 7.0077 Å, c = 7.0077 Å
α = 90.00°, β = 90.00°, γ = 90.00°
Sites, in units of the cell vectors:
Dy1 0.0000 0.0000 0.0000
Dy2 0.0000 0.5000 0.5000
Dy3 0.5000 0.0000 0.5000
Dy4 0.5000 0.5000 0.0000
In1 0.0000 0.0000 0.5000
In2 0.0000 0.5000 0.0000
In3 0.5000 0.0000 0.0000
In4 0.5000 0.5000 0.5000
Au1 0.2500 0.2500 0.2500
Au2 0.2500 0.2500 0.7500
Au3 0.2500 0.7500 0.2500
Au4 0.2500 0.7500 0.7500
Au5 0.7500 0.2500 0.2500
Au6 0.7500 0.2500 0.7500
Au7 0.7500 0.7500 0.2500
Au8 0.7500 0.7500 0.7500

No. 4
The following is a DFT calculation (GGA-PBE) of an optimized crystal structure of Cs2As2Pt.

Summary:
Symmetry ... No. 63
V ... 358.7 Å³ per cell
ΔE_f ... -2.5 eV/f.u.
Calculated total energy ... -19.7 eV/f.u.

a = 8.3240 Å, b = 8.3240 Å, c = 6.6666 Å
α = 90.00°, β = 90.00°, γ = 129.05°
Sites, in units of the cell vectors:
Cs1 0.0849 0.9151 0.7500
Cs2 0.2936 0.7064 0.2500
Cs3 0.7064 0.2936 0.7500
Cs4 0.9151 0.0849 0.2500
As1 0.2308 0.4259 0.7500
As2 0.4259 0.2308 0.2500
As3 0.5741 0.7692 0.7500
As4 0.7692 0.5741 0.2500
Pt1 0.5000 0.5000 0.0000
Pt2 0.5000 0.5000 0.5000

No. 5
The following is a DFT calculation (GGA-PBE) of an optimized crystal structure of Ba3Bi2TeO9.

Summary:
Symmetry ... No. 165
V ... 511.7 Å³ per cell
ΔE_f ... -35.0 eV/f.u.
E (MP2020) ... -6.42 eV per atom
Calculated total energy ... -90.0 eV/f.u.
Magnetization ... 0.00 μB per cell

a = 6.2648 Å, b = 6.2648 Å, c = 15.0539 Å
α = 90.00°, β = 90.00°, γ = 120.00°
Sites, in units of the cell vectors:
Ba1 0.0000 0.0000 0.2500
Ba2 0.0000 0.0000 0.7500
Ba3 0.3333 0.6667 0.0820
Ba4 0.3333 0.6667 0.5820
Ba5 0.6667 0.3333 0.4180
Ba6 0.6667 0.3333 0.9180
Bi1 0.3333 0.6667 0.3328
Bi2 0.3333 0.6667 0.8328
Bi3 0.6667 0.3333 0.1672
Bi4 0.6667 0.3333 0.6672
Te1 0.0000 0.0000 0.0000
Te2 0.0000 0.0000 0.5000
O1 0.0000 0.4437 0.2500
O2 0.0000 0.5563 0.7500
O3 0.0824 0.2899 0.9250
O4 0.0824 0.7926 0.4250
O5 0.2074 0.2899 0.4250
O6 0.2074 0.9176 0.9250
O7 0.2899 0.0824 0.5750
O8 0.2899 0.2074 0.0750
O9 0.4437 0.0000 0.2500
O10 0.4437 0.4437 0.7500
O11 0.5563 0.0000 0.7500
O12 0.5563 0.5563 0.2500
O13 0.7101 0.7926 0.9250
O14 0.7101 0.9176 0.4250
O15 0.7926 0.0824 0.0750
O16 0.7926 0.7101 0.5750
O17 0.9176 0.2074 0.5750
O18 0.9176 0.7101 0.0750

No. 6
The following is a DFT calculation (GGA-PBE) of an optimized crystal structure of Na2Nb3GaSi2P4O24.

Summary:
Symmetry ... No. 1
V ... 1518.2 Å³ per cell
ΔE_f ... -103.2 eV/f.u.
E (MP2020) ... -8.07 eV per atom
Calculated total energy ... -274.0 eV/f.u.
Magnetization ... 0.00 μB per cell

a = 8.7659 Å, b = 8.7768 Å, c = 22.7752 Å
α = 89.94°, β = 89.95°, γ = 60.05°
Sites, in units of the cell vectors:
Na1 0.0000 0.0000 0.0000
Na2 0.0024 0.0004 0.5046
Na3 0.3353 0.3304 0.6652
Na4 0.3382 0.3309 0.1634
Na5 0.6681 0.6663 0.8291
Na6 0.6701 0.6662 0.3383
Nb1 0.0075 0.9976 0.8525
Nb2 0.3320 0.3369 0.5206
Nb3 0.3330 0.3330 0.3098
Nb4 0.3352 0.3295 0.8073
Nb5 0.3357 0.3325 0.0186
Nb6 0.6672 0.6668 0.9745
Nb7 0.6668 0.6688 0.6840
Nb8 0.6692 0.6681 0.1867
Nb9 0.9981 0.9954 0.3534
Ga1 0.0026 0.0018 0.6434
Ga2 0.6725 0.6671 0.4784
Ga3 0.9981 0.0022 0.1438
Si1 0.0368 0.6199 0.4153
Si2 0.0498 0.3331 0.9138
Si3 0.2827 0.0016 0.7423
Si4 0.3343 0.6168 0.9131
Si5 0.6218 0.0482 0.9137
Si6 0.7175 0.0044 0.2434
P1 0.0034 0.7168 0.7438
P2 0.0041 0.2793 0.2448
P3 0.2826 0.7167 0.2449
P4 0.3398 0.0414 0.4150
P5 0.3728 0.9543 0.0820
P6 0.3794 0.6749 0.5774
P7 0.6201 0.3401 0.4149
P8 0.6755 0.3721 0.0817
P9 0.6782 0.9504 0.5785
P10 0.7194 0.2813 0.7437
P11 0.9494 0.3743 0.5783
P12 0.9573 0.6724 0.0813
O1 0.0263 0.1626 0.9064
O2 0.0295 0.7980 0.6889
O3 0.0308 0.8110 0.4069
O4 0.0396 0.1708 0.1896
O5 0.1365 0.3660 0.8556
O6 0.1392 0.3576 0.5727
O7 0.1389 0.5005 0.0773
O8 0.1402 0.5009 0.3571
O9 0.1606 0.8097 0.9070
O10 0.1637 0.3094 0.2543
O11 0.1674 0.0339 0.6853
O12 0.1666 0.5306 0.7517
O13 0.1685 0.0330 0.4060
O14 0.1686 0.5243 0.4716
O15 0.1697 0.3016 0.9725
O16 0.1748 0.7946 0.1899
O17 0.1922 0.9709 0.0878
O18 0.1933 0.8296 0.5850
O19 0.1979 0.9707 0.8029
O20 0.2019 0.8296 0.3010
O21 0.3051 0.5278 0.9723
O22 0.3082 0.5296 0.2547
O23 0.3113 0.1597 0.4691
O24 0.3130 0.1709 0.7515
O25 0.3616 0.1364 0.0776
O26 0.3631 0.1329 0.3592
O27 0.3680 0.4991 0.8550
O28 0.3692 0.4989 0.5728
O29 0.4659 0.8426 0.0269
O30 0.4672 0.6968 0.5231
O31 0.4717 0.6917 0.2391
O32 0.4830 0.8254 0.7378
O33 0.4928 0.8610 0.1365
O34 0.4962 0.6434 0.6335
O35 0.5000 0.1351 0.8558
O36 0.5001 0.8594 0.4206
O37 0.5049 0.3589 0.0769
O38 0.5054 0.6406 0.9232
O39 0.5055 0.1357 0.5733
O40 0.5087 0.3565 0.3593
O41 0.5193 0.1709 0.2555
O42 0.5300 0.3115 0.7519
O43 0.5310 0.1673 0.9725
O44 0.5376 0.3029 0.4693
O45 0.6338 0.5049 0.4202
O46 0.6396 0.8559 0.9234
O47 0.6458 0.8632 0.6343
O48 0.6487 0.4895 0.1362
O49 0.6905 0.4686 0.0265
O50 0.6953 0.8274 0.2386
O51 0.7013 0.4680 0.7380
O52 0.7026 0.8405 0.5240
O53 0.7952 0.1720 0.6889
O54 0.7998 0.0376 0.1863
O55 0.8056 0.1727 0.4062
O56 0.8136 0.0267 0.9058
O57 0.8290 0.1988 0.8001
O58 0.8372 0.4667 0.2385
O59 0.8373 0.9714 0.3034
O60 0.8372 0.9747 0.5877
O61 0.8389 0.6912 0.7382
O62 0.8417 0.1923 0.0849
O63 0.8418 0.4615 0.5235
O64 0.8441 0.6906 0.0266
O65 0.8457 0.6422 0.4205
O66 0.8566 0.5060 0.9231
O67 0.8637 0.6467 0.1360
O68 0.8681 0.4910 0.6339
O69 0.9715 0.8271 0.8004
O70 0.9739 0.1903 0.5850
O71 0.9756 0.1975 0.3008
O72 0.9767 0.8346 0.0858

V of number 4 (Cs2As2Pt)?
358.7 Å³ per cell

The highest V belongs to which entry?
Na5Sc3TiSi3S3O24

Which of these has the highest ΔE_f?
Te3W2S